A plane-wave DFT calculation with PBE-GGA was carried out for NaLiMg6 after structural relaxation. Values from VASP.

Geometry as Quantum ESPRESSO input:
```
&SYSTEM
  ibrav = 0, nat = 16, ntyp = 3
/
ATOMIC_SPECIES
Na 22.99 Na.upf
Mg 24.30 Mg.upf
Li 6.94 Li.upf
CELL_PARAMETERS angstrom
-1.1913 -4.6583 2.1886
5.6644 -2.3139 -1.8418
4.5177 3.3783 9.6497
ATOMIC_POSITIONS crystal
Na 0.5000 0.0000 0.6667
Na 0.5000 0.5000 0.1667
Mg 0.0000 0.7526 0.0830
Mg 0.5000 0.2498 0.9167
Mg 0.0000 0.5000 0.3345
Mg 0.0000 0.0000 0.8345
Mg 0.0000 0.0000 0.3327
Mg 0.0000 0.2474 0.0830
Mg 0.0000 0.7474 0.5830
Mg 0.5000 0.7498 0.4167
Mg 0.5000 0.2502 0.4167
Mg 0.0000 0.5000 0.8327
Mg 0.5000 0.7502 0.9167
Mg 0.0000 0.2526 0.5830
Li 0.5000 0.5000 0.6667
Li 0.5000 0.0000 0.1667
```

Computed properties:
The offset from the most stable computed form is 0.0028 eV per atom. Its calculated formation energy is 0.044 eV per atom.

A plane-wave DFT calculation with PBE-GGA was carried out for NaLiMg14O15 after structural relaxation. Values from VASP.

Geometry as Quantum ESPRESSO input:
```
&SYSTEM
  ibrav = 0, nat = 31, ntyp = 4
/
ATOMIC_SPECIES
Na 22.99 Na.upf
Li 6.94 Li.upf
Mg 24.30 Mg.upf
O 16.00 O.upf
CELL_PARAMETERS angstrom
4.2861 0.0000 0.0000
0.0000 8.5880 0.0000
0.0000 0.0000 8.5463
ATOMIC_POSITIONS crystal
Na 0.0000 0.0000 0.0000
Li 0.0000 0.5000 0.0185
Mg 0.0000 0.0000 0.4941
Mg 0.0000 0.2273 0.7537
Mg 0.0000 0.2504 0.2348
Mg 0.0000 0.5000 0.4750
Mg 0.0000 0.7496 0.2348
Mg 0.0000 0.7727 0.7537
Mg 0.5000 0.0000 0.2399
Mg 0.5000 0.0000 0.7515
Mg 0.5000 0.2504 0.4968
Mg 0.5000 0.2534 0.9943
Mg 0.5000 0.5000 0.2297
Mg 0.5000 0.5000 0.7564
Mg 0.5000 0.7466 0.9943
Mg 0.5000 0.7496 0.4968
O 0.0000 0.0000 0.2618
O 0.0000 0.0000 0.7303
O 0.0000 0.2625 0.5081
O 0.0000 0.2675 0.9862
O 0.0000 0.5000 0.2481
O 0.0000 0.7325 0.9862
O 0.0000 0.7375 0.5081
O 0.5000 0.0000 0.4993
O 0.5000 0.0000 0.9927
O 0.5000 0.2530 0.2473
O 0.5000 0.2583 0.7448
O 0.5000 0.5000 0.5125
O 0.5000 0.5000 0.9872
O 0.5000 0.7417 0.7448
O 0.5000 0.7470 0.2473
```

Computed properties:
The offset from the most stable computed form is 0.0039 eV per atom. Its calculated formation energy is -2.819 eV per atom.